1.
Sr2CaN2 GGA-PBE relaxed; E above lowest polymorph = 0.0 meV per atom; crystal system = trigonal; energy of formation from the pure elements = -0.6545 eV per atom
1.0
3.802 0.000 0.000
-1.901 3.293 0.000
0.000 0.000 9.526
Sr Ca N
2 1 2
Cartesian
0.000 2.195 2.691
1.901 1.098 6.834
0.000 0.000 0.000
0.000 2.195 7.975
1.901 1.098 1.550

=====

2.
CaB3O12 GGA-PBE relaxed; E above lowest polymorph = 147.8 meV per atom; crystal system = monoclinic; energy of formation from the pure elements = -1.1903 eV per atom
1.0
7.918 0.000 0.000
0.000 12.079 0.000
-5.119 0.000 9.857
Ca B O
4 12 48
Cartesian
1.035 1.551 0.336
-1.525 4.488 5.264
4.323 7.590 4.593
1.764 10.528 9.521
-3.835 6.496 7.606
-1.276 11.622 2.677
-0.598 7.333 4.175
-3.157 10.785 9.103
0.774 6.949 2.172
-1.785 11.169 7.100
4.584 0.910 2.756
2.024 5.130 7.685
5.956 1.294 0.754
3.397 4.746 5.682
4.074 0.456 7.179
6.634 5.583 2.251
-0.806 0.514 1.552
-3.365 5.525 6.481
6.164 6.554 3.376
3.605 11.564 8.304
-3.886 1.687 7.892
-1.327 4.352 2.964
-2.581 0.092 6.603
-0.022 5.948 1.674
-1.426 8.415 4.598
-3.985 9.703 9.526
-2.692 6.441 8.454
-0.132 11.677 3.526
0.549 7.602 3.359
-2.010 10.516 8.288
-0.411 6.506 5.311
2.148 11.612 0.383
1.880 7.303 1.437
-0.680 10.815 6.366
1.180 2.442 2.957
-1.380 3.597 7.885
-0.045 2.296 5.874
2.515 3.743 0.946
-1.349 2.600 8.597
1.210 3.439 3.669
0.386 1.492 6.694
2.945 4.548 1.766
-0.147 7.531 8.091
2.413 10.587 3.162
1.588 8.640 6.188
4.148 9.479 1.259
0.284 8.335 8.911
2.844 9.783 3.982
4.178 8.482 1.971
1.619 9.637 6.900
3.478 1.264 3.491
0.919 4.775 8.419
0.651 0.467 9.474
3.210 5.573 4.545
4.809 1.563 1.569
2.249 4.477 6.498
2.931 0.402 6.331
5.490 5.637 1.402
6.784 2.376 0.331
4.224 3.663 5.259
2.820 6.131 8.182
5.380 11.987 3.254
4.125 7.726 6.893
6.685 10.392 1.964

=====

3.
CsTmO2 GGA-PBE relaxed; crystal system = hexagonal; energy of formation from the pure elements = -3.0019 eV per atom
1.0
3.506 0.000 0.000
-1.753 3.036 0.000
0.000 0.000 13.699
Cs Tm O
2 2 4
Cartesian
0.000 2.024 3.425
1.753 1.012 10.274
0.000 0.000 0.000
0.000 0.000 6.849
0.000 2.024 7.959
0.000 2.024 12.590
1.753 1.012 1.109
1.753 1.012 5.740

=====

4.
LiLaHfTiO6 GGA-PBE relaxed; crystal system = cubic; energy of formation from the pure elements = -3.4628 eV per atom
1.0
0.000 3.994 3.994
3.994 0.000 3.994
3.994 3.994 0.000
Li La Hf Ti O
1 1 1 1 6
Cartesian
0.000 0.000 0.000
3.994 3.994 3.994
1.997 1.997 1.997
5.991 5.991 5.991
5.991 5.991 4.043
5.991 4.043 5.991
7.938 5.991 5.991
4.043 5.991 5.991
5.991 7.938 5.991
5.991 5.991 7.938